Material: Zr5Ga3
Method: DFT, r2SCAN
State: optimized geometry

Calculated volume   20.44 A^3/atom
Energy of formation   -0.590 eV/atom

Cell lengths 8.090, 8.090, 5.770 Å; angles 90.00, 90.00, 120.00 degrees
Fractional positions:
1 Zr 0.667 0.333 0.000
2 Zr 0.333 0.667 0.000
3 Zr 0.333 0.667 0.500
4 Zr 0.667 0.333 0.500
5 Zr 0.757 0.757 0.750
6 Zr 0.243 0.000 0.750
7 Zr 0.000 0.243 0.750
8 Zr 0.243 0.243 0.250
9 Zr 0.757 0.000 0.250
10 Zr 0.000 0.757 0.250
11 Ga 0.392 0.392 0.750
12 Ga 0.608 0.000 0.750
13 Ga 0.000 0.608 0.750
14 Ga 0.608 0.608 0.250
15 Ga 0.392 0.000 0.250
16 Ga 0.000 0.392 0.250